No. 1
## Li2ZnSb (PBE-GGA)

Data for a geometry-optimized Li2ZnSb structure.

Unit cell a=4.7628 b=4.7628 c=4.7628 alpha=60.00 beta=60.00 gamma=60.00
Last column: nearest neighbours and their distance in Å.
Positions (direct):
Sb1 0.0000 0.0000 0.0000  4 Li 2.92, 4 Zn 2.92
Li1 0.5000 0.5000 0.5000  4 Li 2.92, 4 Zn 2.92
Li2 0.7500 0.7500 0.7500  4 Li 2.92, 4 Sb 2.92
Zn1 0.2500 0.2500 0.2500  4 Li 2.92, 4 Sb 2.92

Computed properties:
space-group type: No. 216
total moment: 0.01 μB per cell


No. 2
## VPS3 (PBE-GGA)

Data for a geometry-optimized VPS3 structure.

Unit cell a=5.9336 b=5.9469 c=6.9224 alpha=81.80 beta=73.39 gamma=60.07
Last column: nearest neighbours and their distance in Å.
Positions (direct):
S1 0.4184 0.6600 0.7657  1 P 2.08
S2 0.0784 0.3400 0.7657  1 P 2.08
V1 0.3314 0.3372 0.0000  6 S 2.49-2.51
S3 0.5816 0.3400 0.2343  1 P 2.08
V2 0.6686 0.6628 0.0000  6 S 2.49-2.51
S4 0.7375 0.0000 0.7665  1 P 2.07
S5 0.2625 0.0000 0.2335  1 P 2.07
P1 0.9450 0.0000 0.1637  3 S 2.07-2.08, 1 P 2.17
S6 0.9216 0.6600 0.2343  1 P 2.08
P2 0.0550 0.0000 0.8363  3 S 2.07-2.08, 1 P 2.17

Computed properties:
space-group type: No. 12
total moment: 4.88 μB per cell


No. 3
## PrMg12 (PBE-GGA)

Data for a geometry-optimized PrMg12 structure.

Unit cell a=7.8880 b=7.8880 c=7.8880 alpha=97.92 beta=97.92 gamma=136.41
Last column: nearest neighbours and their distance in Å.
Positions (direct):
Mg1 0.5000 0.5000 0.5000  10 Mg 2.93-3.16
Mg2 0.5000 0.2873 0.7873  10 Mg 3.00-3.35
Mg3 0.0000 0.5000 0.0000  10 Mg 2.93-3.16
Mg4 0.0000 0.0000 0.5000  10 Mg 2.93-3.16
Mg5 0.0000 0.6475 0.6475  9 Mg 3.06-3.35
Mg6 0.5000 0.7127 0.2127  10 Mg 3.00-3.35
Pr1 0.0000 0.0000 0.0000  20 Mg 3.65-3.94
Mg7 0.6475 0.0000 0.6475  9 Mg 3.06-3.35
Mg8 0.5000 0.0000 0.0000  10 Mg 2.93-3.16
Mg9 0.7127 0.5000 0.2127  10 Mg 3.00-3.35
Mg10 0.2873 0.5000 0.7873  10 Mg 3.00-3.35
Mg11 0.0000 0.3525 0.3525  9 Mg 3.06-3.35
Mg12 0.3525 0.0000 0.3525  9 Mg 3.06-3.35

Computed properties:
space-group type: No. 139


No. 4
## YMg14CuO16 (PBE-GGA)

Data for a geometry-optimized YMg14CuO16 structure.

Unit cell a=4.3208 b=8.6703 c=8.7064 alpha=90.00 beta=90.00 gamma=90.00
Last column: nearest neighbours and their distance in Å.
Positions (direct):
Mg1 0.5000 0.5000 0.2541  6 O 2.14-2.21
Mg2 0.5000 0.2482 0.5000  6 O 2.15-2.19
O1 0.0000 0.7397 0.0000  5 Mg 2.08-2.28, 1 Y 2.26
O2 0.5000 0.7514 0.2489  6 Mg 2.16-2.19
O3 0.0000 0.0000 0.7497  4 Mg 2.17-2.20, 1 Cu 2.17, 1 Y 2.18
O4 0.0000 0.5000 0.2472  6 Mg 2.14-2.20
O5 0.0000 0.7305 0.5000  5 Mg 2.00-2.17
Mg3 0.5000 0.7518 0.5000  6 O 2.15-2.19
O6 0.5000 0.5000 0.0000  6 Mg 2.06-2.21
Mg4 0.0000 0.5000 0.0000  6 O 2.08-2.16
Mg5 0.5000 0.5000 0.7459  6 O 2.14-2.21
Mg6 0.0000 0.2538 0.2622  6 O 2.08-2.28
Mg7 0.0000 0.2538 0.7378  6 O 2.08-2.28
Mg8 0.5000 0.0000 0.2687  5 O 2.01-2.17
O7 0.0000 0.2603 0.0000  5 Mg 2.08-2.28, 1 Y 2.26
O8 0.5000 0.2486 0.7511  6 Mg 2.16-2.19
Cu1 0.0000 0.0000 0.5000  6 O 2.16-2.34
Mg9 0.5000 0.2622 0.0000  6 O 2.06-2.27
O9 0.5000 0.7514 0.7511  6 Mg 2.16-2.19
O10 0.0000 0.2695 0.5000  5 Mg 2.00-2.17
Y1 0.0000 0.0000 0.0000  6 O 2.16-2.26
Mg10 0.5000 0.7378 0.0000  6 O 2.06-2.27
Mg11 0.0000 0.5000 0.5000  6 O 2.00-2.20
O11 0.5000 0.0000 0.0000  2 Y 2.16, 4 Mg 2.27-2.34
Mg12 0.0000 0.7462 0.2622  6 O 2.08-2.28
O12 0.0000 0.5000 0.7528  6 Mg 2.14-2.20
O13 0.0000 0.0000 0.2503  4 Mg 2.17-2.20, 1 Cu 2.17, 1 Y 2.18
Mg13 0.5000 0.0000 0.7313  5 O 2.01-2.17
O14 0.5000 0.0000 0.5000  4 Mg 2.01-2.15, 2 Cu 2.16
Mg14 0.0000 0.7462 0.7378  6 O 2.08-2.28
O15 0.5000 0.2486 0.2489  6 Mg 2.16-2.19
O16 0.5000 0.5000 0.5000  6 Mg 2.14-2.18

Computed properties:
space-group type: No. 47
excess energy over the best structure of this formula in the dataset: 0.0048 eV/atom
total moment: 0.00 μB per cell


No. 5
## Na3NpH14O12 (PBE-GGA)

Data for a geometry-optimized Na3NpH14O12 structure.

Unit cell a=8.1140 b=8.1140 c=10.8211 alpha=96.54 beta=110.15 gamma=112.88
Last column: nearest neighbours and their distance in Å.
Positions (direct):
O1 0.9634 0.4734 0.2261  2 H 0.99-1.00
H1 0.5723 0.1607 0.6148  1 O 0.99
H2 0.1816 0.1426 0.2076  1 O 0.99
O2 0.3488 0.8935 0.3303  2 H 0.99
O3 0.4248 0.9222 0.8047  2 H 1.84-1.87, 1 Np 1.94
O4 0.5235 0.7243 0.0135  1 H 0.98
O5 0.5752 0.0778 0.1953  2 H 1.84-1.87, 1 Np 1.94
H3 0.0622 0.4761 0.3134  1 O 1.00
O6 0.6512 0.1065 0.6697  2 H 0.99
Np1 0.5000 0.0000 0.0000  4 O 1.91-1.94
O7 0.0632 0.0185 0.1697  2 H 0.99
O8 0.2527 0.2627 0.7261  2 H 0.99-1.00
H4 0.0905 0.6504 0.8394  1 O 0.99
H5 0.2057 0.6281 0.5069  1 O 0.98
O9 0.2289 0.4851 0.0648  2 H 0.99-1.00
O10 0.2108 0.5100 0.4865  1 H 0.98
O11 0.9368 0.9815 0.8303  2 H 0.99
H6 0.3109 0.2511 0.6606  1 O 0.99
H7 0.1899 0.8696 0.6554  1 O 0.99
H8 0.9541 0.0425 0.1148  1 O 0.99
H9 0.6212 0.6988 0.9931  1 O 0.98
Np2 0.5000 0.5000 0.5000  4 O 1.91-1.94
H10 0.8184 0.8574 0.7924  1 O 0.99
O12 0.3824 0.3798 0.3047  2 H 1.84-1.87, 1 Np 1.94
O13 0.6176 0.6202 0.6953  2 H 1.84-1.87, 1 Np 1.94
O14 0.0798 0.8359 0.5648  2 H 0.99-1.00
Na1 0.0995 0.9711 0.3861  5 O 2.35-2.57, 1 H 2.62
H11 0.0214 0.2954 0.4541  1 O 1.00
O15 0.9202 0.1641 0.4352  2 H 0.99-1.00
H12 0.3373 0.2512 0.8134  1 O 1.00
H13 0.9378 0.5239 0.6866  1 O 1.00
H14 0.3788 0.3012 0.0069  1 O 0.98
Na2 0.0850 0.7134 0.1139  5 O 2.35-2.57, 1 H 2.62
H15 0.6891 0.7489 0.3394  1 O 0.99
O16 0.7892 0.4900 0.5135  1 H 0.98
O17 0.7714 0.1304 0.0327  2 H 1.78-1.89, 1 Np 1.91
H16 0.4277 0.8393 0.3852  1 O 0.99
Na3 0.9150 0.2866 0.8861  5 O 2.35-2.57, 1 H 2.62
O18 0.0366 0.5266 0.7739  2 H 0.99-1.00
O19 0.5977 0.7387 0.4673  2 H 1.78-1.89, 1 Np 1.91
H17 0.6627 0.7488 0.1866  1 O 1.00
O20 0.7473 0.7373 0.2739  2 H 0.99-1.00
Na4 0.3291 0.5791 0.7500  6 O 2.35-2.59, 2 H 2.61
H18 0.0459 0.9575 0.8852  1 O 0.99
H19 0.7142 0.5345 0.8446  1 O 0.99
Na5 0.9005 0.0289 0.6139  5 O 2.35-2.57, 1 H 2.62
O21 0.7711 0.5149 0.9352  2 H 0.99-1.00
H20 0.9786 0.7046 0.5459  1 O 1.00
O22 0.4023 0.2613 0.5327  2 H 1.78-1.89, 1 Np 1.91
H21 0.5650 0.0260 0.7076  1 O 0.99
H22 0.7943 0.3719 0.4931  1 O 0.98
H23 0.4350 0.9740 0.2924  1 O 0.99
H24 0.6586 0.4327 0.9541  1 O 1.00
H25 0.9095 0.3496 0.1606  1 O 0.99
Na6 0.6709 0.4209 0.2500  6 O 2.35-2.59, 2 H 2.61
H26 0.3414 0.5673 0.0459  1 O 1.00
H27 0.8101 0.1304 0.3446  1 O 0.99
O23 0.2286 0.8696 0.9673  2 H 1.78-1.89, 1 Np 1.91
O24 0.4765 0.2757 0.9865  1 H 0.98
H28 0.2858 0.4655 0.1554  1 O 0.99

Computed properties:
space-group type: No. 15
total moment: 0.00 μB per cell


No. 6
## VN (PBE-GGA)

Data for a geometry-optimized VN structure.

Unit cell a=2.7543 b=2.7543 c=5.3097 alpha=90.00 beta=90.00 gamma=120.00
Last column: nearest neighbours and their distance in Å.
Positions (direct):
V1 0.0000 0.0000 0.5000  6 N 2.07
N1 0.6667 0.3333 0.7500  6 V 2.07
N2 0.3333 0.6667 0.2500  6 V 2.07
V2 0.0000 0.0000 0.0000  6 N 2.07

Computed properties:
space-group type: No. 194
total moment: 0.00 μB per cell


No. 7
## NaYMg6 (PBE-GGA)

Data for a geometry-optimized NaYMg6 structure.

Unit cell a=5.2367 b=6.7902 c=11.5319 alpha=90.00 beta=90.00 gamma=90.00
Last column: nearest neighbours and their distance in Å.
Positions (direct):
Mg1 0.0000 0.0000 0.1636  2 Na 3.28, 10 Mg 3.28-3.41
Mg2 0.0000 0.7501 0.9203  8 Mg 3.21-3.41, 2 Y 3.27, 2 Na 3.27
Mg3 0.0000 0.0000 0.6644  10 Mg 3.25-3.41, 2 Y 3.28
Mg4 0.0000 0.5000 0.1644  10 Mg 3.25-3.41, 2 Y 3.28
Mg5 0.5000 0.2445 0.5810  8 Mg 3.21-3.47, 2 Na 3.29-3.40, 2 Y 3.32-3.37
Y1 0.5000 0.0000 0.8351  10 Mg 3.27-3.37, 2 Na 3.40
Y2 0.5000 0.5000 0.3351  10 Mg 3.27-3.37, 2 Na 3.40
Na1 0.5000 0.0000 0.3343  10 Mg 3.27-3.40, 2 Y 3.40
Mg6 0.5000 0.2555 0.0810  8 Mg 3.21-3.47, 2 Na 3.29-3.40, 2 Y 3.32-3.37
Na2 0.5000 0.5000 0.8343  10 Mg 3.27-3.40, 2 Y 3.40
Mg7 0.0000 0.2501 0.4203  8 Mg 3.21-3.41, 2 Y 3.27, 2 Na 3.27
Mg8 0.5000 0.7445 0.0810  8 Mg 3.21-3.47, 2 Na 3.29-3.40, 2 Y 3.32-3.37
Mg9 0.0000 0.5000 0.6636  2 Na 3.28, 10 Mg 3.28-3.41
Mg10 0.0000 0.7499 0.4203  8 Mg 3.21-3.41, 2 Y 3.27, 2 Na 3.27
Mg11 0.5000 0.7555 0.5810  8 Mg 3.21-3.47, 2 Na 3.29-3.40, 2 Y 3.32-3.37
Mg12 0.0000 0.2499 0.9203  8 Mg 3.21-3.41, 2 Y 3.27, 2 Na 3.27

Computed properties:
excess energy over the best structure of this formula in the dataset: 0.0096 eV/atom
total moment: 0.00 μB per cell


No. 8
## Rb4Al2S5 (PBE-GGA)

Data for a geometry-optimized Rb4Al2S5 structure.

Unit cell a=9.7200 b=11.6492 c=11.6883 alpha=90.00 beta=90.00 gamma=90.00
Last column: nearest neighbours and their distance in Å.
Positions (direct):
S1 0.0723 0.3977 0.1202  2 Al 2.29-2.30
S2 0.0498 0.5904 0.3747  2 Al 2.29-2.32
Rb1 0.4747 0.2562 0.3888  6 S 3.20-3.41
S3 0.2801 0.2372 0.7859  1 Al 2.23
Rb2 0.2139 0.9468 0.9233  5 S 3.30-3.65
S4 0.5498 0.9096 0.8747  2 Al 2.29-2.32
S5 0.6425 0.7932 0.6124  2 Al 2.29-2.34
S6 0.4033 0.0084 0.2456  1 Al 2.23
S7 0.5498 0.4096 0.6253  2 Al 2.29-2.32
S8 0.1425 0.7068 0.1124  2 Al 2.29-2.34
S9 0.0498 0.0904 0.1253  2 Al 2.29-2.32
Rb3 0.7353 0.9810 0.3911  6 S 3.31-3.66
Rb4 0.2139 0.4468 0.5767  5 S 3.30-3.65
Rb5 0.7353 0.4810 0.1089  6 S 3.31-3.66
S10 0.4033 0.5084 0.2544  1 Al 2.23
Al1 0.0008 0.2498 0.2369  4 S 2.23-2.32
Rb6 0.7139 0.5532 0.4233  5 S 3.30-3.65
S11 0.7801 0.7628 0.2141  1 Al 2.23
Rb7 0.9747 0.7438 0.6112  6 S 3.20-3.41
S12 0.2801 0.7372 0.7141  1 Al 2.23
S13 0.1425 0.2068 0.3876  2 Al 2.29-2.34
S14 0.9033 0.9916 0.7544  1 Al 2.23
Rb8 0.3662 0.7540 0.4261  6 S 3.35-3.67
Rb9 0.2353 0.5190 0.8911  6 S 3.31-3.66
Rb10 0.9747 0.2438 0.8888  6 S 3.20-3.41
Rb11 0.8662 0.7460 0.9261  6 S 3.35-3.67
Al2 0.1808 0.5404 0.2200  4 S 2.23-2.34
Rb12 0.8662 0.2460 0.5739  6 S 3.35-3.67
Rb13 0.4747 0.7562 0.1112  6 S 3.20-3.41
S15 0.6425 0.2932 0.8876  2 Al 2.29-2.34
Al3 0.6808 0.4596 0.7800  4 S 2.23-2.34
Rb14 0.3662 0.2540 0.0739  6 S 3.35-3.67
Al4 0.1808 0.0404 0.2800  4 S 2.23-2.34
S16 0.5723 0.6023 0.8798  2 Al 2.29-2.30
Al5 0.0008 0.7498 0.2631  4 S 2.23-2.32
S17 0.7801 0.2628 0.2859  1 Al 2.23
Rb15 0.2353 0.0190 0.6089  6 S 3.31-3.66
S18 0.0723 0.8977 0.3798  2 Al 2.29-2.30
Rb16 0.7139 0.0532 0.0767  5 S 3.30-3.65
S19 0.5723 0.1023 0.6202  2 Al 2.29-2.30
Al6 0.5008 0.7502 0.7631  4 S 2.23-2.32
Al7 0.5008 0.2502 0.7369  4 S 2.23-2.32
Al8 0.6808 0.9596 0.7200  4 S 2.23-2.34
S20 0.9033 0.4916 0.7456  1 Al 2.23

Computed properties:
space-group type: No. 33
total moment: 0.00 μB per cell


Sequential ΔE_f output: -1.23 -3.90 -0.51 -93.17 -50.06 -2.47 0.60 -16.49 eV per formula unit
Sequential calculated total energy output: -2.5612 -5.8592 -1.8838 -6.0722 -5.5202 -9.7638 -2.0992 -4.1880 eV/atom